# 1
Re2S2O13: optimized geometry, GGA-PBE.

Summary:
- space-group type = No. 57
- excess energy over the best structure of this formula in the dataset (eV/f.u.) = 0.14

```
Re2S2O13
1.0
7.441 0.000 0.000
0.000 7.381 0.000
0.000 0.000 17.197
Re S O
8 8 52
Cartesian
1.774 1.131 1.732
1.774 1.131 6.866
1.774 2.559 10.331
1.774 2.559 15.464
5.667 4.822 1.732
5.667 4.822 6.866
5.667 6.250 10.331
5.667 6.250 15.464
1.971 4.599 12.898
1.971 6.473 4.299
2.716 5.536 0.000
2.716 5.536 8.598
4.726 1.845 0.000
4.726 1.845 8.598
5.470 0.908 12.898
5.470 2.782 4.299
0.135 0.800 2.091
0.135 0.800 6.507
0.135 2.891 10.690
0.135 2.891 15.106
0.538 4.570 12.898
0.538 6.502 4.299
1.472 1.845 0.000
1.472 1.845 8.598
1.825 4.519 9.205
1.825 4.519 16.590
1.825 6.553 0.607
1.825 6.553 7.991
2.030 1.097 11.168
2.030 1.097 14.627
2.030 2.593 2.570
2.030 2.593 6.029
2.522 3.725 11.689
2.522 3.725 14.106
2.522 7.347 3.090
2.522 7.347 5.508
2.710 5.255 4.299
2.710 5.816 12.898
3.570 4.876 1.033
3.570 4.876 7.565
3.570 6.196 9.631
3.570 6.196 16.164
3.871 1.185 1.033
3.871 1.185 7.565
3.871 2.506 9.631
3.871 2.506 16.164
4.732 1.565 4.299
4.732 2.126 12.898
4.919 0.034 11.689
4.919 0.034 14.106
4.919 3.656 3.090
4.919 3.656 5.508
5.411 4.788 11.168
5.411 4.788 14.627
5.411 6.284 2.570
5.411 6.284 6.029
5.617 0.828 9.205
5.617 0.828 16.590
5.617 2.862 0.607
5.617 2.862 7.991
5.970 5.536 0.000
5.970 5.536 8.598
6.903 0.879 12.898
6.903 2.812 4.299
7.307 4.490 2.091
7.307 4.490 6.507
7.307 6.581 10.690
7.307 6.581 15.106
```



# 2
ReSbO6: optimized geometry, GGA-PBE.

Summary:
- space-group type = No. 11

```
ReSbO6
1.0
5.216 0.000 0.000
0.000 7.382 0.000
-0.002 0.000 5.364
Re Sb O
2 2 12
Cartesian
0.000 0.000 0.000
0.000 3.691 0.000
2.607 0.000 2.682
2.607 3.691 2.682
0.443 1.846 5.276
0.986 4.059 3.821
0.986 7.015 3.821
1.527 4.057 1.024
1.527 7.017 1.024
1.982 1.846 2.559
3.233 5.537 2.805
3.688 0.366 4.339
3.688 3.325 4.339
4.229 0.368 1.542
4.229 3.324 1.542
4.772 5.537 0.087
```



# 3
ScRe2O6: optimized geometry, GGA-PBE.

Summary:
- space-group type = No. 14

```
ScRe2O6
1.0
7.575 0.000 0.000
0.000 4.867 0.000
-0.769 0.000 5.613
Sc Re O
2 4 12
Cartesian
0.000 0.000 0.000
-0.385 2.434 2.806
2.364 0.042 2.081
1.979 2.391 4.888
4.827 2.476 0.725
4.442 4.825 3.532
0.252 3.287 4.635
0.636 4.014 1.828
1.855 1.053 0.437
1.471 1.380 3.244
3.135 3.556 0.888
2.750 3.744 3.695
4.056 1.123 1.918
3.671 1.311 4.725
5.335 3.487 2.369
4.951 3.814 5.176
6.170 0.854 3.785
6.554 1.580 0.978
```



# 4
Re3Se4O3: optimized geometry, GGA-PBE.

Summary:
- space-group type = No. 205

```
Re3Se4O3
1.0
12.814 0.000 0.000
0.000 12.814 0.000
0.000 0.000 12.814
Re Se O
24 32 24
Cartesian
0.599 0.782 8.832
0.599 5.625 2.425
0.782 8.832 0.599
0.782 10.390 7.007
2.425 0.599 5.625
2.425 5.808 12.033
3.982 7.007 5.625
3.982 12.215 12.033
5.625 2.425 0.599
5.625 3.982 7.007
5.808 7.189 8.832
5.808 12.033 2.425
7.007 0.782 10.390
7.007 5.625 3.982
7.189 8.832 5.808
7.189 10.390 12.215
8.832 0.599 0.782
8.832 5.808 7.189
10.390 7.007 0.782
10.390 12.215 7.189
12.033 2.425 5.808
12.033 3.982 12.215
12.215 7.189 10.390
12.215 12.033 3.982
0.673 1.415 3.997
0.673 4.993 10.404
1.415 2.410 7.080
1.415 3.997 0.673
1.658 8.065 11.157
1.658 11.157 4.749
2.410 7.080 1.415
2.410 12.141 7.822
3.997 0.673 1.415
3.997 5.734 7.822
4.749 1.658 11.157
4.749 4.749 4.749
4.993 8.817 7.080
4.993 10.404 0.673
5.734 7.822 3.997
5.734 11.400 10.404
7.080 1.415 2.410
7.080 4.993 8.817
7.822 2.410 12.141
7.822 3.997 5.734
8.065 8.065 8.065
8.065 11.157 1.658
8.817 7.080 4.993
8.817 12.141 11.400
10.404 0.673 4.993
10.404 5.734 11.400
11.157 1.658 8.065
11.157 4.749 1.658
11.400 8.817 12.141
11.400 10.404 5.734
12.141 7.822 2.410
12.141 11.400 8.817
1.040 1.306 10.388
1.040 5.101 3.981
1.306 8.834 7.447
1.306 10.388 1.040
2.426 7.447 5.101
2.426 11.775 11.508
3.981 1.040 5.101
3.981 5.368 11.508
5.101 2.426 7.447
5.101 3.981 1.040
5.368 7.713 10.388
5.368 11.508 3.981
7.447 1.306 8.834
7.447 5.101 2.426
7.713 8.834 11.775
7.713 10.388 5.368
8.834 7.447 1.306
8.834 11.775 7.713
10.388 1.040 1.306
10.388 5.368 7.713
11.508 2.426 11.775
11.508 3.981 5.368
11.775 7.713 8.834
11.775 11.508 2.426
```



no.,E_form (eV per atom),VASP energy (eV/atom)
1,-1.844,-7.05
2,-1.860,-7.13
3,-2.520,-8.83
4,-0.746,-7.16